VASP calculation (meta-GGA r2SCAN) on an optimized crystal structure of Na2Al2Sb3.

Results
Crystal system: monoclinic
Uncorrected energy in eV/cell: -803.95
ΔH_f (0 K) in meV/atom: -397

Structure (POSCAR):
```
Na2Al2Sb3
1.0
14.146 0.000 0.000
0.000 7.264 0.000
-0.083 0.000 15.409
Na Al Sb
16 16 24
Cartesian
0.849 0.481 1.525 Na
0.807 3.151 9.229 Na
2.093 4.120 0.312 Na
2.051 6.776 8.017 Na
5.153 0.341 0.177 Na
5.111 3.291 7.881 Na
5.925 3.929 1.737 Na
5.884 6.966 9.441 Na
8.178 0.298 5.968 Na
8.137 3.334 13.672 Na
8.951 3.973 7.528 Na
8.909 6.923 15.233 Na
12.011 0.488 7.393 Na
11.970 3.144 15.097 Na
13.255 4.113 6.180 Na
13.213 6.783 13.884 Na
1.279 5.298 4.031 Al
1.238 5.598 11.736 Al
2.622 1.533 5.216 Al
2.581 2.099 12.920 Al
4.375 5.338 5.106 Al
4.333 5.558 12.810 Al
5.717 1.515 4.178 Al
5.675 2.117 11.882 Al
8.387 5.147 3.527 Al
8.345 5.749 11.231 Al
9.729 1.706 2.599 Al
9.687 1.926 10.304 Al
11.481 5.165 2.489 Al
11.440 5.731 10.193 Al
12.825 1.666 3.673 Al
12.783 1.966 11.378 Al
0.276 0.191 5.284 Sb
0.234 3.441 12.988 Sb
2.261 3.981 6.217 Sb
2.220 6.915 13.922 Sb
3.477 1.633 2.668 Sb
3.436 1.999 10.373 Sb
3.475 4.901 10.308 Sb
3.516 5.994 2.603 Sb
4.809 0.339 6.441 Sb
4.767 3.292 14.146 Sb
6.630 3.862 5.107 Sb
6.588 7.034 12.812 Sb
7.474 0.230 2.597 Sb
7.432 3.402 10.302 Sb
9.295 3.971 1.264 Sb
9.253 6.924 8.968 Sb
10.546 1.270 12.806 Sb
10.588 2.362 5.101 Sb
10.627 5.265 5.036 Sb
10.585 5.631 12.741 Sb
11.843 0.349 1.487 Sb
11.801 3.283 9.192 Sb
13.828 3.822 2.421 Sb
13.786 7.073 10.126 Sb
```

VASP calculation (meta-GGA r2SCAN) on an optimized crystal structure of BeVCo2.

Results
Crystal system: cubic
Uncorrected energy in eV/cell: -183.49
ΔH_f (0 K) in meV/atom: -244

Structure (POSCAR):
```
BeVCo2
1.0
5.469 0.000 0.000
0.000 5.469 0.000
0.000 0.000 5.469
Be V Co
4 4 8
Cartesian
0.000 0.000 0.000 Be
0.000 2.735 2.735 Be
2.735 0.000 2.735 Be
2.735 2.735 0.000 Be
0.000 0.000 2.735 V
0.000 2.735 0.000 V
2.735 0.000 0.000 V
2.735 2.735 2.735 V
1.367 1.367 1.367 Co
1.367 1.367 4.102 Co
1.367 4.102 1.367 Co
1.367 4.102 4.102 Co
4.102 1.367 1.367 Co
4.102 1.367 4.102 Co
4.102 4.102 1.367 Co
4.102 4.102 4.102 Co
```

VASP calculation (meta-GGA r2SCAN) on an optimized crystal structure of K2NaInAs2.

Results
Crystal system: orthorhombic
Uncorrected energy in eV/cell: -143.07
ΔH_f (0 K) in meV/atom: -657

Structure (POSCAR):
```
K2NaInAs2
1.0
-3.384 7.664 3.394
3.384 -7.664 3.394
3.384 7.664 -3.394
K Na In As
4 2 2 4
Cartesian
1.622 2.688 0.000 K
1.622 -2.688 3.394 K
1.762 10.353 0.000 K
1.762 4.976 3.394 K
0.000 0.000 1.697 Na
0.000 0.000 5.090 Na
3.384 0.000 1.697 In
0.000 7.664 1.697 In
4.863 1.550 0.000 As
1.479 6.114 0.000 As
1.905 1.550 3.394 As
-1.479 6.114 3.394 As
```

VASP calculation (meta-GGA r2SCAN) on an optimized crystal structure of NaCa9Ti9NbSi10O50.

Results
Crystal system: triclinic
Uncorrected energy in eV/cell: -856.22
ΔH_f (0 K) in meV/atom: -3272

Structure (POSCAR):
```
NaCa9Ti9NbSi10O50
1.0
5.457 0.000 0.000
2.241 7.116 0.000
1.006 3.285 23.932
Na Ca Ti Nb Si O
1 9 9 1 10 50
Cartesian
0.000 0.000 0.000 Na
2.008 5.835 10.319 Ca
3.510 7.543 14.314 Ca
2.287 2.963 0.630 Ca
3.739 4.844 4.799 Ca
3.500 3.636 15.081 Ca
5.008 5.340 19.070 Ca
3.734 0.918 5.542 Ca
5.236 2.624 9.547 Ca
7.234 8.538 19.847 Ca
1.005 2.886 5.169 Ti
1.642 3.128 12.315 Ti
2.272 3.366 19.455 Ti
1.852 0.445 2.783 Ti
4.740 7.790 9.932 Ti
5.380 8.043 17.070 Ti
5.608 5.331 7.557 Ti
6.234 5.586 14.692 Ti
6.859 5.791 21.846 Ti
4.990 5.092 0.313 Nb
2.565 6.113 17.400 Si
2.961 7.255 7.216 Si
2.794 3.398 7.877 Si
4.218 7.746 21.490 Si
4.057 3.958 22.154 Si
4.454 5.053 11.981 Si
6.527 8.313 12.637 Si
4.687 2.329 2.449 Si
6.758 5.587 3.101 Si
5.948 2.853 16.741 Si
0.637 1.732 1.875 O
1.425 4.063 8.486 O
1.656 4.161 3.818 O
1.699 4.203 13.831 O
2.564 6.537 3.508 O
2.455 5.917 15.775 O
3.069 7.449 8.840 O
2.941 6.827 21.065 O
1.583 2.048 10.784 O
3.895 9.193 20.805 O
4.102 9.307 16.131 O
2.696 4.611 22.775 O
1.919 1.472 4.313 O
2.908 4.666 18.074 O
3.833 7.055 17.827 O
2.683 3.199 6.254 O
4.340 7.900 23.123 O
3.187 4.116 11.544 O
4.046 6.473 1.208 O
4.109 6.504 11.309 O
4.333 6.593 6.608 O
2.916 1.861 13.245 O
3.141 1.948 8.547 O
5.450 9.129 18.581 O
4.059 4.339 8.310 O
3.950 3.728 20.536 O
4.561 5.247 13.604 O
3.432 1.371 2.032 O
4.299 3.750 1.726 O
5.320 6.967 15.541 O
5.598 7.099 20.891 O
5.379 6.245 3.693 O
6.622 9.609 22.816 O
5.667 6.405 9.070 O
5.294 4.911 22.602 O
6.418 8.119 11.013 O
4.784 2.559 4.070 O
6.926 9.030 16.298 O
5.540 4.242 6.032 O
5.601 4.306 16.073 O
5.822 4.389 11.371 O
6.652 6.780 18.005 O
6.876 6.860 13.302 O
6.950 6.916 23.384 O
5.553 2.135 13.070 O
6.645 5.330 1.484 O
6.058 3.045 18.365 O
7.155 6.312 6.776 O
5.826 1.588 6.544 O
6.804 4.748 20.321 O
```

VASP calculation (meta-GGA r2SCAN) on an optimized crystal structure of AlSb.

Results
Crystal system: cubic
Uncorrected energy in eV/cell: -131.78
ΔH_f (0 K) in meV/atom: -253

Structure (POSCAR):
```
AlSb
1.0
6.185 0.000 0.000
0.000 6.185 0.000
0.000 0.000 6.185
Al Sb
4 4
Cartesian
0.000 0.000 0.000 Al
0.000 3.093 3.093 Al
3.093 0.000 3.093 Al
3.093 3.093 0.000 Al
1.546 1.546 4.639 Sb
1.546 4.639 1.546 Sb
4.639 1.546 1.546 Sb
4.639 4.639 4.639 Sb
```

VASP calculation (meta-GGA r2SCAN) on an optimized crystal structure of Cs2As3.

Results
Crystal system: orthorhombic
Uncorrected energy in eV/cell: -194.46
ΔH_f (0 K) in meV/atom: -578

Structure (POSCAR):
```
Cs2As3
1.0
0.000 5.290 7.887
4.856 0.000 7.887
4.856 5.290 0.000
Cs As
4 6
Cartesian
4.856 2.411 7.887 Cs
2.428 2.645 3.944 Cs
7.283 7.935 11.831 Cs
4.856 8.170 7.887 Cs
6.920 5.290 6.690 As
4.856 5.290 5.484 As
6.920 5.290 9.084 As
2.791 5.290 6.690 As
4.856 5.290 10.290 As
2.791 5.290 9.084 As
```

VASP calculation (meta-GGA r2SCAN) on an optimized crystal structure of DyMgAu2.

Results
Crystal system: cubic
Uncorrected energy in eV/cell: -562.59
ΔH_f (0 K) in meV/atom: -832

Structure (POSCAR):
```
DyMgAu2
1.0
6.877 0.000 0.000
0.000 6.877 0.000
0.000 0.000 6.877
Dy Mg Au
4 4 8
Cartesian
0.000 0.000 0.000 Dy
0.000 3.439 3.439 Dy
3.439 0.000 3.439 Dy
3.439 3.439 0.000 Dy
0.000 0.000 3.439 Mg
0.000 3.439 0.000 Mg
3.439 0.000 0.000 Mg
3.439 3.439 3.439 Mg
1.719 1.719 1.719 Au
1.719 1.719 5.158 Au
1.719 5.158 1.719 Au
1.719 5.158 5.158 Au
5.158 1.719 1.719 Au
5.158 1.719 5.158 Au
5.158 5.158 1.719 Au
5.158 5.158 5.158 Au
```

VASP calculation (meta-GGA r2SCAN) on an optimized crystal structure of NaSm2Se3.

Results
Crystal system: orthorhombic
Uncorrected energy in eV/cell: -236.08
ΔH_f (0 K) in meV/atom: -2012

Structure (POSCAR):
```
NaSm2Se3
1.0
4.153 0.000 0.000
0.000 5.881 0.000
0.000 0.000 12.605
Na Sm Se
2 4 6
Cartesian
0.000 0.000 0.000 Na
2.077 2.940 6.303 Na
0.000 0.000 4.237 Sm
0.000 0.000 8.368 Sm
2.077 2.940 2.065 Sm
2.077 2.940 10.540 Sm
0.000 2.940 0.000 Se
0.000 2.940 4.178 Se
0.000 2.940 8.428 Se
2.077 0.000 2.125 Se
2.077 0.000 6.303 Se
2.077 0.000 10.480 Se
```